The following is a GGA-PBE calculation of BiXeF9 after structural relaxation, from the Materials Project database.

Unit cell a=5.8919 b=8.0683 c=8.9575 alpha=101.52 beta=107.47 gamma=87.08
Fractional coordinates of all 22 atoms:
1 Xe 0.7016 0.8288 0.2159
2 F 0.6214 0.1369 0.9343
3 F 0.0167 0.8016 0.3779
4 F 0.5261 0.2150 0.2815
5 F 0.3786 0.8631 0.0657
6 F 0.9833 0.1984 0.6221
7 F 0.7445 0.5611 0.5195
8 F 0.6330 0.4662 0.8037
9 Bi 0.7869 0.6587 0.7519
10 F 0.3670 0.5338 0.1963
11 F 0.0470 0.1258 0.2462
12 F 0.5583 0.8825 0.3936
13 F 0.8922 0.4504 0.1684
14 F 0.1504 0.2257 0.9875
15 F 0.1078 0.5496 0.8316
16 F 0.8496 0.7743 0.0125
17 F 0.2555 0.4389 0.4805
18 F 0.4417 0.1175 0.6064
19 Bi 0.2131 0.3413 0.2481
20 F 0.9530 0.8742 0.7538
21 F 0.4739 0.7850 0.7185
22 Xe 0.2984 0.1712 0.7841

Values from the calculation:
The energy with MP2020 corrections comes out at -3.473 eV per atom. The space-group type is No. 2. Its energy of formation from the pure elements is -1549.1 meV per atom. The calculated volume is 18.09 Å³ per atom.


The following is a GGA-PBE calculation of Bi2XeF12 after structural relaxation, from the Materials Project database.

Unit cell a=8.2898 b=10.0552 c=14.5919 alpha=90.00 beta=90.00 gamma=90.00
Fractional coordinates of all 60 atoms:
1 Bi 0.3971 0.1037 0.9160
2 F 0.4016 0.2762 0.9878
3 F 0.2329 0.0270 0.0042
4 F 0.0077 0.2734 0.4932
5 F 0.4577 0.0775 0.1634
6 F 0.6443 0.4478 0.6691
7 F 0.5240 0.1935 0.8142
8 F 0.5941 0.0218 0.9751
9 F 0.2316 0.7503 0.1620
10 F 0.7316 0.7497 0.8380
11 Bi 0.8990 0.8372 0.7575
12 F 0.4266 0.2912 0.2958
13 Bi 0.3990 0.6628 0.2425
14 F 0.9405 0.9762 0.8542
15 F 0.3557 0.9478 0.8309
16 Bi 0.6029 0.6037 0.5840
17 F 0.3188 0.7988 0.3464
18 F 0.5077 0.2266 0.5068
19 F 0.8188 0.7012 0.6536
20 F 0.9923 0.7734 0.0068
21 F 0.4405 0.5238 0.1458
22 F 0.2971 0.4583 0.7975
23 F 0.5984 0.7762 0.5122
24 F 0.5595 0.0238 0.3542
25 F 0.9760 0.8065 0.3142
26 F 0.7329 0.4730 0.9958
27 F 0.8557 0.5522 0.1691
28 Xe 0.8959 0.9000 0.0966
29 F 0.4059 0.5218 0.5249
30 Bi 0.6010 0.1628 0.2575
31 F 0.0595 0.4762 0.6458
32 F 0.4760 0.6935 0.6858
33 F 0.7971 0.0417 0.2025
34 F 0.7671 0.5270 0.4958
35 F 0.6812 0.2988 0.1536
36 F 0.9577 0.4225 0.8366
37 Xe 0.6041 0.1000 0.5966
38 Bi 0.1029 0.8963 0.4160
39 F 0.1443 0.0522 0.3309
40 F 0.4923 0.7266 0.9932
41 F 0.0423 0.9225 0.6634
42 F 0.0941 0.4782 0.0249
43 F 0.9016 0.2238 0.0122
44 F 0.2684 0.2497 0.6620
45 F 0.5734 0.7912 0.2042
46 Xe 0.1041 0.4000 0.4034
47 F 0.0984 0.7238 0.4878
48 F 0.2671 0.9730 0.5042
49 Xe 0.3959 0.6000 0.9034
50 Bi 0.1010 0.3372 0.7425
51 Bi 0.8971 0.3963 0.0840
52 F 0.2029 0.5417 0.2975
53 F 0.5423 0.5775 0.3366
54 F 0.0240 0.3065 0.1858
55 F 0.9059 0.9782 0.4751
56 F 0.1812 0.2012 0.8464
57 F 0.9266 0.2088 0.7042
58 F 0.7684 0.2503 0.3380
59 F 0.0734 0.7088 0.7958
60 F 0.7029 0.9583 0.7025

Values from the calculation:
The energy with MP2020 corrections comes out at -3.929 eV per atom. The space-group type is No. 19. Its energy of formation from the pure elements is -1876.4 meV per atom. The calculated volume is 20.27 Å³ per atom.


The following is a GGA-PBE calculation of ZnBiF5 after structural relaxation, from the Materials Project database.

Unit cell a=5.8134 b=5.8156 c=8.3715 alpha=100.18 beta=108.04 gamma=107.43
Fractional coordinates of all 14 atoms:
1 F 0.6058 0.8550 0.7476
2 F 0.7768 0.6683 0.0658
3 F 0.3884 0.1337 0.2443
4 F 0.8338 0.2205 0.1473
5 Bi 0.9999 0.9974 0.9976
6 F 0.8970 0.2894 0.5663
7 Zn 0.7405 0.4904 0.2479
8 F 0.0976 0.7062 0.4334
9 F 0.5759 0.6759 0.3566
10 Bi 0.4958 0.9964 0.4973
11 F 0.1722 0.7788 0.8521
12 F 0.4273 0.3187 0.6452
13 Zn 0.2563 0.5036 0.7492
14 F 0.2367 0.3390 0.9404

Values from the calculation:
The energy with MP2020 corrections comes out at -4.724 eV per atom. The space-group type is No. 1. Its energy of formation from the pure elements is -2621.0 meV per atom. Its energy above the lowest structure with this stoichiometry is 5 meV per atom. The calculated volume is 17.51 Å³ per atom.


The following is a GGA-PBE calculation of ZnBiF6 after structural relaxation, from the Materials Project database.

Unit cell a=5.8257 b=5.8257 c=5.8257 alpha=57.92 beta=57.92 gamma=57.92
Fractional coordinates of all 8 atoms:
1 F 0.7405 0.3578 0.1625
2 F 0.6422 0.8375 0.2595
3 Zn 0.5000 0.5000 0.5000
4 F 0.3578 0.1625 0.7405
5 F 0.2595 0.6422 0.8375
6 Bi 0.0000 0.0000 0.0000
7 F 0.1625 0.7405 0.3578
8 F 0.8375 0.2595 0.6422

Values from the calculation:
The energy with MP2020 corrections comes out at -4.558 eV per atom. The space-group type is No. 148. Its energy of formation from the pure elements is -2478.4 meV per atom. The calculated volume is 16.64 Å³ per atom.